A geometry-optimized TiCuHg2 structure. Source: the Materials Project, functional GGA-PBE.

Properties
magnetization	0.004	Bohr magnetons per cell
SG	F-43m (216)
calculated total energy	-11.87	eV/cell
calculated volume	17.95	A^3/atom

Lattice parameters (Å, degrees): 4.666 4.666 4.666 60.00 60.00 60.00
Fractional coordinates of all 4 atoms:
Cu (0.500, 0.500, 0.500)
Ti (0.750, 0.750, 0.750)
Hg (0.000, 0.000, 0.000)
Hg (0.250, 0.250, 0.250)

=====

A geometry-optimized HoInCu2 structure. Source: the Materials Project, functional GGA-PBE.

Properties
SG	Fm-3m (225)
calculated total energy	-16.83	eV/cell
calculated volume	18.09	A^3/atom

Lattice parameters (Å, degrees): 4.677 4.677 4.677 60.00 60.00 60.00
Fractional coordinates of all 4 atoms:
Cu (0.750, 0.750, 0.750)
Ho (0.500, 0.500, 0.500)
Cu (0.250, 0.250, 0.250)
In (0.000, 0.000, 0.000)

=====

A geometry-optimized HoInCu structure. Source: the Materials Project, functional GGA-PBE.

Properties
SG	P-62m (189)
calculated total energy	-38.01	eV/cell
calculated volume	21.01	A^3/atom

Lattice parameters (Å, degrees): 7.426 7.426 3.958 90.00 90.00 120.00
Fractional coordinates of all 9 atoms:
Cu (0.667, 0.333, 0.000)
Ho (0.589, 0.000, 0.500)
Ho (0.000, 0.589, 0.500)
Cu (0.000, 0.000, 0.500)
In (0.746, 0.746, 0.000)
Ho (0.411, 0.411, 0.500)
Cu (0.333, 0.667, 0.000)
In (0.254, 0.000, 0.000)
In (0.000, 0.254, 0.000)

=====

A geometry-optimized Ho2CuIr structure. Source: the Materials Project, functional GGA-PBE.

Properties
magnetization	0.002	Bohr magnetons per cell
SG	Fm-3m (225)
calculated total energy	-24.59	eV/cell
calculated volume	20.18	A^3/atom

Lattice parameters (Å, degrees): 4.851 4.851 4.851 60.00 60.00 60.00
Fractional coordinates of all 4 atoms:
Ho (0.750, 0.750, 0.750)
Ho (0.250, 0.250, 0.250)
Ir (0.000, 0.000, 0.000)
Cu (0.500, 0.500, 0.500)

=====

A geometry-optimized KHo2CuS4 structure. Source: the Materials Project, functional GGA-PBE.

Properties
SG	Cmcm (63)
calculated total energy	-88.37	eV/cell
calculated volume	22.73	A^3/atom

Lattice parameters (Å, degrees): 7.019 7.019 13.695 90.00 90.00 147.38
Fractional coordinates of all 16 atoms:
Ho (0.634, 0.366, 0.563)
S (0.263, 0.737, 0.610)
S (0.000, 0.000, 0.500)
Ho (0.366, 0.634, 0.063)
S (0.737, 0.263, 0.110)
S (0.569, 0.431, 0.750)
S (0.000, 0.000, 0.000)
Ho (0.366, 0.634, 0.437)
S (0.263, 0.737, 0.890)
K (0.110, 0.890, 0.250)
S (0.737, 0.263, 0.390)
S (0.431, 0.569, 0.250)
Ho (0.634, 0.366, 0.937)
K (0.890, 0.110, 0.750)
Cu (0.163, 0.837, 0.750)
Cu (0.837, 0.163, 0.250)

=====

A geometry-optimized HoCuO2 structure. Source: the Materials Project, functional GGA-PBE.

Properties
SG	R-3m (166)
calculated total energy	-28.24	eV/cell
calculated volume	15.47	A^3/atom

Lattice parameters (Å, degrees): 6.076 6.076 6.076 33.80 33.80 33.80
Fractional coordinates of all 4 atoms:
O (0.893, 0.893, 0.893)
Cu (0.000, 0.000, 0.000)
Ho (0.500, 0.500, 0.500)
O (0.107, 0.107, 0.107)

=====

A geometry-optimized Ho2CuO4 structure. Source: the Materials Project, functional GGA-PBE.

Properties
magnetization	0.001	Bohr magnetons per cell
SG	Cmce (64)
calculated total energy	-104.32	eV/cell
calculated volume	12.69	A^3/atom

Lattice parameters (Å, degrees): 6.520 6.520 5.479 90.00 90.00 130.27
Fractional coordinates of all 14 atoms:
O (0.489, 0.989, 0.750)
O (0.805, 0.805, 0.695)
Cu (0.000, 0.000, 0.000)
Ho (0.345, 0.655, 0.000)
O (0.695, 0.695, 0.195)
Ho (0.845, 0.155, 0.500)
O (0.195, 0.195, 0.305)
O (0.989, 0.489, 0.750)
Ho (0.655, 0.345, 0.000)
O (0.305, 0.305, 0.805)
O (0.011, 0.511, 0.250)
O (0.511, 0.011, 0.250)
Ho (0.155, 0.845, 0.500)
Cu (0.500, 0.500, 0.500)

=====

A geometry-optimized Ho2CuO4 structure. Source: the Materials Project, functional GGA-PBE.

Properties
magnetization	0.003	Bohr magnetons per cell
SG	I4/mmm (139)
calculated total energy	-52.01	eV/cell
calculated volume	12.45	A^3/atom

Lattice parameters (Å, degrees): 6.447 6.447 6.447 145.14 145.14 50.13
Fractional coordinates of all 7 atoms:
Cu (0.000, 0.000, 0.000)
Ho (0.348, 0.348, 0.000)
O (0.250, 0.750, 0.500)
O (0.500, 0.000, 0.500)
Ho (0.652, 0.652, 0.000)
O (0.000, 0.500, 0.500)
O (0.750, 0.250, 0.500)

=====

A geometry-optimized HoCuO2 structure. Source: the Materials Project, functional GGA-PBE.

Properties
SG	P6_3/mmc (194)
calculated total energy	-56.48	eV/cell
calculated volume	15.54	A^3/atom

Lattice parameters (Å, degrees): 3.532 3.532 11.501 90.00 90.00 120.00
Fractional coordinates of all 8 atoms:
Cu (0.667, 0.333, 0.750)
Cu (0.333, 0.667, 0.250)
O (0.333, 0.667, 0.410)
Ho (0.000, 0.000, 0.000)
O (0.667, 0.333, 0.910)
Ho (0.000, 0.000, 0.500)
O (0.667, 0.333, 0.590)
O (0.333, 0.667, 0.090)

=====

A geometry-optimized Sr2HoCu3Pb2O8 structure. Source: the Materials Project, functional GGA-PBE.

Properties
magnetization	0.001	Bohr magnetons per cell
SG	P2_1/c (14)
calculated total energy	-189.97	eV/cell
calculated volume	14.72	A^3/atom

Lattice parameters (Å, degrees): 5.455 5.422 15.930 89.51 90.00 90.00
Fractional coordinates of all 32 atoms:
O (0.750, 0.748, 0.090)
Sr (0.001, 0.994, 0.220)
Sr (0.499, 0.494, 0.220)
O (0.442, 0.453, 0.385)
Cu (0.001, 0.502, 0.897)
Sr (0.999, 0.006, 0.780)
O (0.250, 0.252, 0.910)
Ho (0.500, 0.500, 0.000)
O (0.750, 0.752, 0.908)
O (0.250, 0.748, 0.092)
O (0.250, 0.248, 0.092)
O (0.491, 0.007, 0.749)
Sr (0.501, 0.506, 0.780)
Pb (0.995, 0.496, 0.612)
O (0.509, 0.993, 0.251)
O (0.250, 0.752, 0.910)
Pb (0.505, 0.996, 0.612)
O (0.058, 0.953, 0.385)
Cu (0.500, 0.500, 0.500)
Cu (0.999, 0.498, 0.103)
Cu (0.499, 0.002, 0.897)
O (0.750, 0.248, 0.090)
Cu (0.000, 0.000, 0.500)
Pb (0.495, 0.004, 0.388)
O (0.942, 0.047, 0.615)
Cu (0.501, 0.998, 0.103)
Pb (0.005, 0.504, 0.388)
O (0.009, 0.507, 0.749)
O (0.750, 0.252, 0.908)
O (0.991, 0.493, 0.251)
O (0.558, 0.547, 0.615)
Ho (0.000, 0.000, 0.000)

=====

A geometry-optimized Sr2HoCu3Pb2O8 structure. Source: the Materials Project, functional GGA-PBE.

Properties
magnetization	0.002	Bohr magnetons per cell
SG	P4/mmm (123)
calculated total energy	-94.88	eV/cell
calculated volume	14.65	A^3/atom

Lattice parameters (Å, degrees): 3.829 3.829 15.992 90.00 90.00 90.00
Fractional coordinates of all 16 atoms:
Sr (0.000, 0.000, 0.221)
Cu (0.500, 0.500, 0.897)
O (0.000, 0.500, 0.910)
O (0.500, 0.000, 0.910)
Cu (0.500, 0.500, 0.103)
O (0.500, 0.500, 0.749)
O (0.500, 0.000, 0.090)
O (0.000, 0.000, 0.384)
O (0.000, 0.000, 0.616)
Cu (0.000, 0.000, 0.500)
Sr (0.000, 0.000, 0.779)
Pb (0.500, 0.500, 0.613)
Ho (0.000, 0.000, 0.000)
O (0.000, 0.500, 0.090)
Pb (0.500, 0.500, 0.387)
O (0.500, 0.500, 0.251)

=====

A geometry-optimized SrHo2CuO5 structure. Source: the Materials Project, functional GGA-PBE.

Properties
magnetization	4.003	Bohr magnetons per cell
SG	Pnma (62)
calculated total energy	-256.70	eV/cell
calculated volume	13.44	A^3/atom

Lattice parameters (Å, degrees): 5.621 7.149 12.045 90.00 90.00 90.00
Fractional coordinates of all 36 atoms:
O (0.007, 0.663, 0.067)
O (0.493, 0.663, 0.067)
Sr (0.750, 0.421, 0.588)
O (0.750, 0.924, 0.906)
O (0.005, 0.650, 0.776)
O (0.507, 0.163, 0.433)
Ho (0.750, 0.887, 0.714)
Ho (0.250, 0.395, 0.073)
Ho (0.750, 0.605, 0.927)
O (0.505, 0.350, 0.224)
Cu (0.750, 0.220, 0.837)
O (0.495, 0.850, 0.276)
O (0.250, 0.076, 0.094)
O (0.250, 0.424, 0.594)
Sr (0.250, 0.921, 0.912)
O (0.750, 0.576, 0.406)
Ho (0.250, 0.113, 0.286)
O (0.993, 0.163, 0.433)
O (0.505, 0.150, 0.724)
Cu (0.250, 0.720, 0.663)
O (0.493, 0.837, 0.567)
O (0.005, 0.850, 0.276)
Cu (0.750, 0.280, 0.337)
Sr (0.250, 0.579, 0.412)
O (0.995, 0.350, 0.224)
O (0.495, 0.650, 0.776)
Ho (0.750, 0.613, 0.214)
Ho (0.750, 0.895, 0.427)
O (0.007, 0.837, 0.567)
O (0.507, 0.337, 0.933)
Ho (0.250, 0.105, 0.573)
O (0.993, 0.337, 0.933)
Sr (0.750, 0.079, 0.088)
O (0.995, 0.150, 0.724)
Ho (0.250, 0.387, 0.786)
Cu (0.250, 0.780, 0.163)